Compound: InGa3
Source: the Materials Project
Functional: PBE
Structure: relaxed

Unit cell a=6.1740 b=6.1740 c=5.2059 alpha=90.00 beta=90.00 gamma=120.00
Sites, in units of the cell vectors:
In 0.3333 0.6667 0.2500
In 0.6667 0.3333 0.7500
Ga 0.1601 0.3202 0.7500
Ga 0.1601 0.8399 0.7500
Ga 0.3202 0.1601 0.2500
Ga 0.6798 0.8399 0.7500
Ga 0.8399 0.1601 0.2500
Ga 0.8399 0.6798 0.2500

The total magnetic moment comes out at 0.00 μB/f.u. Its symmetry is P6_3/mmc, No. 194. As for the uncorrected energy: -23.15 eV per cell.


Compound: In3Ga
Source: the Materials Project
Functional: PBE
Structure: relaxed

Unit cell a=5.2487 b=5.2487 c=5.2487 alpha=60.00 beta=60.00 gamma=60.00
Sites, in units of the cell vectors:
In 0.0000 0.0000 0.0000
In 0.2500 0.2500 0.2500
In 0.7500 0.7500 0.7500
Ga 0.5000 0.5000 0.5000

Its symmetry is Fm-3m, No. 225. As for the uncorrected energy: -11.10 eV per cell.


Compound: In3Ga
Source: the Materials Project
Functional: PBE
Structure: relaxed

Unit cell a=5.5727 b=5.5727 c=5.5727 alpha=129.40 beta=129.40 gamma=74.37
Sites, in units of the cell vectors:
In 0.0000 0.0000 0.0000
In 0.2500 0.7500 0.5000
In 0.7500 0.2500 0.5000
Ga 0.5000 0.5000 0.0000

Its symmetry is I4/mmm, No. 139. As for the uncorrected energy: -11.07 eV per cell.


Compound: InGa3
Source: the Materials Project
Functional: PBE
Structure: relaxed

Unit cell a=4.3890 b=4.3890 c=4.3890 alpha=90.00 beta=90.00 gamma=90.00
Sites, in units of the cell vectors:
In 0.0000 0.0000 0.0000
Ga 0.0000 0.5000 0.5000
Ga 0.5000 0.0000 0.5000
Ga 0.5000 0.5000 0.0000

Its symmetry is Pm-3m, No. 221. As for the uncorrected energy: -11.67 eV per cell.


Compound: In12Ga4Ir2O15
Source: the Materials Project
Functional: PBE
Structure: relaxed

Unit cell a=6.9351 b=19.8677 c=7.5744 alpha=90.00 beta=90.00 gamma=90.00
Sites, in units of the cell vectors:
In 0.0000 0.0000 0.0087
In 0.0000 0.5000 0.4901
In 0.0187 0.1246 0.7329
In 0.0189 0.3673 0.2529
In 0.0228 0.3743 0.7533
In 0.0306 0.1291 0.2732
In 0.2421 0.7422 0.5000
In 0.2579 0.2422 0.0000
In 0.4694 0.6291 0.7732
In 0.4772 0.8743 0.2533
In 0.4813 0.6246 0.2329
In 0.4811 0.8673 0.7529
In 0.5000 0.0000 0.9901
In 0.5000 0.5000 0.5087
In 0.5189 0.1327 0.7529
In 0.5187 0.3754 0.2329
In 0.5228 0.1257 0.2533
In 0.5306 0.3709 0.7732
In 0.7421 0.7578 0.0000
In 0.7579 0.2578 0.5000
In 0.9694 0.8709 0.2732
In 0.9772 0.6257 0.7533
In 0.9811 0.6327 0.2529
In 0.9813 0.8754 0.7329
Ga 0.2348 0.7493 0.0042
Ga 0.2437 0.9863 0.4955
Ga 0.2563 0.4863 0.9955
Ga 0.2652 0.2493 0.5042
Ga 0.7348 0.7507 0.5042
Ga 0.7437 0.5137 0.9955
Ga 0.7563 0.0137 0.4955
Ga 0.7652 0.2507 0.0042
Ir 0.2386 0.6069 0.5008
Ir 0.2614 0.1069 0.0008
Ir 0.7386 0.8931 0.0008
Ir 0.7614 0.3931 0.5008
O 0.0000 0.5000 0.9454
O 0.0136 0.6896 0.0008
O 0.0316 0.1990 0.5047
O 0.1092 0.0655 0.5036
O 0.2205 0.9313 0.2918
O 0.2351 0.7952 0.2182
O 0.2357 0.7962 0.7904
O 0.2452 0.9344 0.7051
O 0.2548 0.4344 0.2051
O 0.2643 0.2962 0.2904
O 0.2649 0.2952 0.7182
O 0.2795 0.4313 0.7918
O 0.3908 0.5655 0.0036
O 0.4684 0.6990 0.0047
O 0.4864 0.1896 0.5008
O 0.5000 0.0000 0.4454
O 0.5136 0.8104 0.5008
O 0.5316 0.3010 0.0047
O 0.6092 0.4345 0.0036
O 0.7205 0.5687 0.7918
O 0.7351 0.7048 0.7182
O 0.7357 0.7038 0.2904
O 0.7452 0.5656 0.2051
O 0.7548 0.0656 0.7051
O 0.7643 0.2038 0.7904
O 0.7649 0.2048 0.2182
O 0.7795 0.0687 0.2918
O 0.8908 0.9345 0.5036
O 0.9684 0.8010 0.5047
O 0.9864 0.3104 0.0008

The total magnetic moment comes out at 0.00 μB/f.u. Its symmetry is Pnn2, No. 34. As for the uncorrected energy: -362.53 eV per cell.


Compound: In3Ga2N4
Source: the Materials Project
Functional: PBE
Structure: relaxed

Unit cell a=6.3380 b=10.6999 c=8.5239 alpha=90.00 beta=90.00 gamma=90.00
Sites, in units of the cell vectors:
In 0.1707 0.1665 0.1204
In 0.1707 0.3335 0.3796
In 0.2500 0.0000 0.4310
In 0.2500 0.5000 0.0690
In 0.3293 0.6665 0.3796
In 0.3293 0.8335 0.1204
In 0.6707 0.1665 0.8796
In 0.6707 0.3335 0.6204
In 0.7500 0.0000 0.5690
In 0.7500 0.5000 0.9310
In 0.8293 0.6665 0.6204
In 0.8293 0.8335 0.8796
Ga 0.1618 0.2500 0.7500
Ga 0.2500 0.0000 0.7792
Ga 0.2500 0.5000 0.7208
Ga 0.3382 0.7500 0.7500
Ga 0.6618 0.2500 0.2500
Ga 0.7500 0.0000 0.2208
Ga 0.7500 0.5000 0.2792
Ga 0.8382 0.7500 0.2500
N 0.0646 0.0956 0.6313
N 0.0646 0.4044 0.8687
N 0.1722 0.6467 0.5999
N 0.1722 0.8533 0.9001
N 0.3278 0.1467 0.9001
N 0.3278 0.3533 0.5999
N 0.4354 0.5956 0.8687
N 0.4354 0.9044 0.6313
N 0.5646 0.0956 0.3687
N 0.5646 0.4044 0.1313
N 0.6722 0.6467 0.4001
N 0.6722 0.8533 0.0999
N 0.8278 0.1467 0.0999
N 0.8278 0.3533 0.4001
N 0.9354 0.5956 0.1313
N 0.9354 0.9044 0.3687

The total magnetic moment comes out at 0.00 μB/f.u. Its symmetry is Pnna, No. 52. As for the uncorrected energy: -183.95 eV per cell.


Compound: InGaN2
Source: the Materials Project
Functional: PBE
Structure: relaxed

Unit cell a=3.3993 b=3.3993 c=5.5516 alpha=90.00 beta=90.00 gamma=120.00
Sites, in units of the cell vectors:
In 0.0000 0.0000 0.0000
Ga 0.6667 0.3333 0.4970
N 0.0000 0.0000 0.6038
N 0.6667 0.3333 0.1472

The total magnetic moment comes out at 0.00 μB/f.u. Its symmetry is P3m1, No. 156. As for the uncorrected energy: -22.89 eV per cell.


Compound: InGa3N4
Source: the Materials Project
Functional: PBE
Structure: relaxed

Unit cell a=3.3056 b=3.3056 c=10.8252 alpha=90.00 beta=90.00 gamma=120.00
Sites, in units of the cell vectors:
In 0.0000 0.0000 0.0000
Ga 0.0000 0.0000 0.4997
Ga 0.6667 0.3333 0.2610
Ga 0.6667 0.3333 0.7395
N 0.0000 0.0000 0.3179
N 0.0000 0.0000 0.7966
N 0.6667 0.3333 0.0814
N 0.6667 0.3333 0.5574

The total magnetic moment comes out at 0.00 μB/f.u. Its symmetry is P3m1, No. 156. As for the uncorrected energy: -47.36 eV per cell.


Compound: Na17In12Ga29
Source: the Materials Project
Functional: PBE
Structure: relaxed

Unit cell a=15.5694 b=15.5694 c=15.5694 alpha=60.00 beta=60.00 gamma=60.00
Sites, in units of the cell vectors:
Na 0.0015 0.2407 0.6289
Na 0.0015 0.6289 0.2407
Na 0.0015 0.6289 0.6289
Na 0.1250 0.1250 0.1250
Na 0.1501 0.7833 0.7833
Na 0.2167 0.2167 0.2167
Na 0.2167 0.2167 0.8499
Na 0.2167 0.8499 0.2167
Na 0.2407 0.0015 0.6289
Na 0.2407 0.6289 0.0015
Na 0.2407 0.6289 0.6289
Na 0.3711 0.3711 0.7593
Na 0.3711 0.3711 0.9985
Na 0.3711 0.7593 0.3711
Na 0.3711 0.7593 0.9985
Na 0.3711 0.9985 0.3711
Na 0.3711 0.9985 0.7593
Na 0.6289 0.0015 0.2407
Na 0.6289 0.0015 0.6289
Na 0.6289 0.2407 0.0015
Na 0.6289 0.2407 0.6289
Na 0.6289 0.6289 0.0015
Na 0.6289 0.6289 0.2407
Na 0.7593 0.3711 0.3711
Na 0.7593 0.3711 0.9985
Na 0.7593 0.9985 0.3711
Na 0.7833 0.1501 0.7833
Na 0.7833 0.7833 0.1501
Na 0.7833 0.7833 0.7833
Na 0.8499 0.2167 0.2167
Na 0.8750 0.8750 0.8750
Na 0.9985 0.3711 0.3711
Na 0.9985 0.3711 0.7593
Na 0.9985 0.7593 0.3711
In 0.2283 0.2283 0.4257
In 0.2283 0.2283 0.6177
In 0.2283 0.4257 0.2283
In 0.2283 0.4257 0.6177
In 0.2283 0.6177 0.2283
In 0.2283 0.6177 0.4257
In 0.3823 0.5743 0.7717
In 0.3823 0.7717 0.5743
In 0.3823 0.7717 0.7717
In 0.4257 0.2283 0.2283
In 0.4257 0.2283 0.6177
In 0.4257 0.6177 0.2283
In 0.5743 0.3823 0.7717
In 0.5743 0.7717 0.3823
In 0.5743 0.7717 0.7717
In 0.6177 0.2283 0.2283
In 0.6177 0.2283 0.4257
In 0.6177 0.4257 0.2283
In 0.7717 0.3823 0.5743
In 0.7717 0.3823 0.7717
In 0.7717 0.5743 0.3823
In 0.7717 0.5743 0.7717
In 0.7717 0.7717 0.3823
In 0.7717 0.7717 0.5743
Ga 0.0062 0.0062 0.6587
Ga 0.0062 0.0062 0.8290
Ga 0.0062 0.6587 0.0062
Ga 0.0062 0.6587 0.8290
Ga 0.0062 0.8290 0.0062
Ga 0.0062 0.8290 0.6587
Ga 0.1099 0.1099 0.4626
Ga 0.1099 0.1099 0.8177
Ga 0.1099 0.4626 0.1099
Ga 0.1099 0.4626 0.8177
Ga 0.1099 0.8177 0.1099
Ga 0.1099 0.8177 0.4626
Ga 0.1195 0.4602 0.4602
Ga 0.1710 0.3413 0.9938
Ga 0.1710 0.9938 0.3413
Ga 0.1710 0.9938 0.9938
Ga 0.1823 0.5374 0.8901
Ga 0.1823 0.8901 0.5374
Ga 0.1823 0.8901 0.8901
Ga 0.3413 0.1710 0.9938
Ga 0.3413 0.9938 0.1710
Ga 0.3413 0.9938 0.9938
Ga 0.3750 0.3750 0.3750
Ga 0.4602 0.1195 0.4602
Ga 0.4602 0.4602 0.1195
Ga 0.4602 0.4602 0.4602
Ga 0.4626 0.1099 0.1099
Ga 0.4626 0.1099 0.8177
Ga 0.4626 0.8177 0.1099
Ga 0.5374 0.1823 0.8901
Ga 0.5374 0.8901 0.1823
Ga 0.5374 0.8901 0.8901
Ga 0.5398 0.5398 0.5398
Ga 0.5398 0.5398 0.8805
Ga 0.5398 0.8805 0.5398
Ga 0.6250 0.6250 0.6250
Ga 0.6587 0.0062 0.0062
Ga 0.6587 0.0062 0.8290
Ga 0.6587 0.8290 0.0062
Ga 0.8177 0.1099 0.1099
Ga 0.8177 0.1099 0.4626
Ga 0.8177 0.4626 0.1099
Ga 0.8290 0.0062 0.0062
Ga 0.8290 0.0062 0.6587
Ga 0.8290 0.6587 0.0062
Ga 0.8805 0.5398 0.5398
Ga 0.8901 0.1823 0.5374
Ga 0.8901 0.1823 0.8901
Ga 0.8901 0.5374 0.1823
Ga 0.8901 0.5374 0.8901
Ga 0.8901 0.8901 0.1823
Ga 0.8901 0.8901 0.5374
Ga 0.9938 0.1710 0.3413
Ga 0.9938 0.1710 0.9938
Ga 0.9938 0.3413 0.1710
Ga 0.9938 0.3413 0.9938
Ga 0.9938 0.9938 0.1710
Ga 0.9938 0.9938 0.3413

The total magnetic moment comes out at 0.03 μB/f.u. Its symmetry is Fd-3m, No. 227. As for the uncorrected energy: -301.93 eV per cell.


Compound: NaInGaPS2O12
Source: the Materials Project
Functional: PBE
Structure: relaxed

Unit cell a=8.6670 b=8.6724 c=22.7432 alpha=89.78 beta=89.94 gamma=60.08
Sites, in units of the cell vectors:
Na 0.0000 0.0000 0.0000
Na 0.0012 0.0230 0.4983
Na 0.3535 0.3351 0.1699
Na 0.3552 0.3370 0.6655
Na 0.6798 0.6661 0.3342
Na 0.6825 0.6822 0.8341
In 0.3411 0.3412 0.0191
In 0.3410 0.3434 0.8168
In 0.6718 0.6754 0.6843
In 0.6800 0.6819 0.9829
In 0.9913 0.0156 0.1541
In 0.9917 0.0202 0.6458
Ga 0.3395 0.3468 0.3192
Ga 0.3417 0.3424 0.5152
Ga 0.6712 0.6779 0.1875
Ga 0.6868 0.6582 0.4800
Ga 0.9974 0.0369 0.3521
Ga 0.9987 0.9974 0.8512
P 0.0454 0.6445 0.9160
P 0.0549 0.3439 0.4171
P 0.6608 0.3890 0.5794
P 0.6697 0.9684 0.0878
P 0.7000 0.3159 0.2536
P 0.7112 0.0091 0.7517
S 0.0058 0.2980 0.7530
S 0.0076 0.7133 0.2548
S 0.2943 0.7239 0.7512
S 0.3018 0.0114 0.2531
S 0.3285 0.0436 0.9155
S 0.3363 0.6406 0.4168
S 0.3814 0.6789 0.0868
S 0.3831 0.9726 0.5790
S 0.6327 0.0488 0.4173
S 0.6467 0.3386 0.9165
S 0.9641 0.3850 0.0871
S 0.9713 0.6693 0.5794
O 0.0296 0.8304 0.9107
O 0.0326 0.1989 0.6977
O 0.0347 0.1749 0.4106
O 0.0466 0.7796 0.1996
O 0.1274 0.5325 0.8609
O 0.1391 0.3740 0.3616
O 0.1388 0.3766 0.0840
O 0.1474 0.5078 0.5723
O 0.1549 0.5633 0.9726
O 0.1621 0.3229 0.7559
O 0.1646 0.0342 0.9077
O 0.1646 0.5328 0.2622
O 0.1693 0.3124 0.4725
O 0.1738 0.8174 0.4088
O 0.1956 0.8041 0.6964
O 0.1966 0.0428 0.1986
O 0.2047 0.8409 0.0917
O 0.2051 0.9865 0.5836
O 0.2090 0.8313 0.8044
O 0.2167 0.9780 0.3050
O 0.3026 0.1480 0.9699
O 0.3066 0.5597 0.4702
O 0.3112 0.5459 0.7543
O 0.3204 0.1712 0.2609
O 0.3608 0.1534 0.5728
O 0.3632 0.5175 0.0843
O 0.3666 0.1211 0.8637
O 0.3724 0.5262 0.3642
O 0.4584 0.6988 0.0313
O 0.4735 0.7059 0.7498
O 0.4738 0.8587 0.5279
O 0.4803 0.8499 0.2474
O 0.4825 0.9039 0.6351
O 0.4841 0.8620 0.9204
O 0.4925 0.6543 0.1393
O 0.4941 0.3684 0.5710
O 0.4965 0.6616 0.4233
O 0.4989 0.1542 0.0847
O 0.5145 0.3347 0.2646
O 0.5218 0.1292 0.3641
O 0.5249 0.1762 0.7559
O 0.5376 0.3694 0.8636
O 0.5555 0.1616 0.4703
O 0.5704 0.3049 0.9701
O 0.6300 0.4922 0.6375
O 0.6480 0.8712 0.4251
O 0.6493 0.8736 0.1426
O 0.6609 0.5004 0.9223
O 0.6852 0.5014 0.2447
O 0.6913 0.4801 0.5260
O 0.6946 0.8700 0.0297
O 0.6974 0.8379 0.7486
O 0.7688 0.2045 0.1974
O 0.7873 0.0374 0.6945
O 0.8138 0.0283 0.4100
O 0.8235 0.9867 0.8071
O 0.8253 0.2288 0.3071
O 0.8259 0.1806 0.9097
O 0.8312 0.2033 0.5818
O 0.8378 0.9868 0.0904
O 0.8403 0.4742 0.7503
O 0.8438 0.6992 0.2479
O 0.8521 0.7025 0.5284
O 0.8580 0.6654 0.9188
O 0.8627 0.4561 0.0321
O 0.8661 0.5124 0.4230
O 0.8742 0.4931 0.1397
O 0.8995 0.6421 0.6352
O 0.9791 0.8312 0.3057
O 0.9898 0.2066 0.8056
O 0.9907 0.2033 0.0914
O 0.9932 0.8282 0.5828

The total magnetic moment comes out at 0.00 μB/f.u. Its symmetry is P1, No. 1. As for the uncorrected energy: -665.55 eV per cell.


Look up the uncorrected energy of the eighth one. -47.36 eV per cell


Which formula does entry 5 have? In12Ga4Ir2O15


What is the uncorrected energy in the sixth record? -183.95 eV per cell


Among the records above, which one has the lowest uncorrected energy? NaInGaPS2O12